No. 1
18
Lattice="5.2497 -5.3813 0.0000 5.2497 5.3813 0.0000 -5.1123 0.0000 5.5338" Properties=species:S:1:pos:R:3 comment="CsMnMoO3F3 | the Materials Project database | PBE+U | relaxed" space_group=C2/c final_energy_ha_per_atom=-0.226 pbc="T T T"
Cs 1.4155 4.0327 4.1503
Cs 3.9716 -4.0327 1.3834
Mn 2.6248 2.6906 0.0000
Mn 0.0687 -2.6906 2.7669
Mo 5.2497 0.0000 0.0000
Mo 2.6935 0.0000 2.7669
O -0.9740 1.3500 4.9517
O 1.4155 0.4517 4.1503
O 1.5822 -1.3500 2.1848
O 3.8049 1.3500 3.3490
O 3.9716 -0.4517 1.3834
O 6.3611 -1.3500 0.5821
F 3.9716 3.5999 1.3834
F 1.7839 1.2816 1.5028
F -0.7722 -1.2816 4.2697
F 6.1593 1.2816 1.2641
F 3.6031 -1.2816 4.0310
F 1.4155 -3.5999 4.1503

No. 2
30
Lattice="5.4422 0.0000 0.0000 0.0000 5.2753 0.0000 -2.6475 0.0000 14.3537" Properties=species:S:1:pos:R:3 comment="V3OF11 | the Materials Project database | PBE+U | relaxed" polymorph_energy_ev_per_fu=0.84 space_group=P2_1 final_energy_ha_per_atom=-0.208 pbc="T T T"
V 0.0104 0.0000 2.3799
V 0.0369 2.6466 7.1770
V 0.0705 5.2481 11.8787
V 2.7242 2.6105 2.4750
V 2.7577 0.0090 7.1767
V 2.7843 2.6376 11.9738
O 0.1303 4.8510 10.3102
O 2.6644 2.2134 4.0435
F 0.0883 4.8359 0.6823
F -1.0714 4.2262 7.5349
F -1.5324 1.0707 11.6049
F -0.0635 0.4624 4.0856
F 0.1147 3.1028 5.4719
F -1.0574 3.7340 12.3296
F 1.1411 1.5891 2.0217
F -0.0416 2.1915 8.8823
F 1.6183 4.2055 2.7445
F 1.1434 1.0661 6.8176
F -0.0157 0.4673 13.6486
F 2.8104 3.1049 0.7051
F 1.6513 3.7037 7.5361
F 1.1763 1.5679 11.6092
F 2.8363 4.8292 5.4714
F 1.6536 4.2267 12.3320
F 3.8521 1.0963 2.0241
F 2.6800 0.4651 8.8818
F 2.8582 3.1000 10.2681
F 4.3271 3.7083 2.7488
F 3.8660 1.5886 6.8188
F 2.7063 2.1982 13.6714

No. 3
32
Lattice="2.9706 0.0000 0.0000 -0.4304 5.9456 0.0000 -0.2768 -0.2130 16.1695" Properties=species:S:1:pos:R:3 comment="Li9Mn2Co5O16 | the Materials Project database | PBE+U | relaxed" polymorph_energy_ev_per_fu=1.85 space_group=P1 final_energy_ha_per_atom=-0.213 pbc="T T T"
Li 0.0000 0.0000 0.0000
Li 2.8312 -0.1032 8.0930
Li -0.4779 5.8326 4.1168
Li 1.3270 1.4345 2.1243
Li 0.9101 4.2793 14.1762
Li 1.1991 1.3458 10.1567
Li 1.0567 4.4287 5.9857
Li 2.6579 2.9842 4.1438
Li 2.5430 2.8179 12.1450
Mn 2.6155 2.8720 8.1029
Mn 1.1040 4.4701 2.1078
Co 0.9737 4.3418 10.1519
Co 1.1295 1.3032 14.1799
Co 1.2957 1.3440 5.9937
Co 2.7184 2.9901 0.0104
Co 2.7565 -0.1542 12.1661
O -0.3899 5.7437 2.0376
O -0.0405 0.0353 6.0980
O -0.1737 -0.1081 14.0938
O -0.3185 2.9022 10.0795
O 1.0665 4.3725 0.0974
O 1.0944 1.2573 12.2610
O 0.9487 4.3258 8.2294
O 1.2879 1.4515 4.2507
O 1.1044 4.3913 3.9199
O 1.3038 1.4313 7.9693
O 1.1661 1.3570 16.1239
O 1.0207 4.3810 12.0746
O 2.6217 3.1121 1.9609
O 2.2854 5.7515 10.2455
O 2.4397 2.7071 14.2647
O 2.5821 2.8289 6.1608

No. 4
12
Lattice="-3.1780 3.3259 3.2099 3.1780 -3.3259 3.2099 3.1780 3.3259 -3.2099" Properties=species:S:1:pos:R:3 comment="LiMnF4 | the Materials Project database | PBE+U | relaxed" space_group=Imma final_energy_ha_per_atom=-0.200 pbc="T T T"
Li 0.0000 1.6629 1.5247
Li 3.1780 1.6629 1.6852
Mn 1.5890 1.6629 -1.6049
Mn 1.5890 -1.6629 1.6049
F 3.1780 -0.3661 1.5858
F 3.1780 2.9598 -1.5858
F 1.5501 1.6629 0.2418
F 1.6279 -1.6629 3.4517
F 1.5501 4.9888 -0.2418
F 1.6279 1.6629 2.9681
F 0.0000 0.3661 4.7957
F 0.0000 3.6920 1.6241

No. 5
36
Lattice="5.9492 0.0000 0.0000 0.0000 7.3209 0.0000 0.0000 0.0000 8.7791" Properties=species:S:1:pos:R:3 comment="CaMnSiHO5 | the Materials Project database | PBE+U | relaxed" space_group=P2_12_12_1 final_energy_ha_per_atom=-0.260 pbc="T T T"
Ca 0.1175 0.8920 2.8313
Ca 2.8571 6.4289 7.2209
Ca 3.0921 2.7684 5.9477
Ca 5.8317 4.5525 1.5582
Mn 1.4650 1.8833 8.7482
Mn 1.5097 5.4376 4.3586
Mn 4.4396 1.7771 0.0309
Mn 4.4843 5.5438 4.4204
Si 0.0685 4.6403 7.1886
Si 2.9061 2.6806 2.7991
Si 3.0432 6.3411 1.5904
Si 5.8807 0.9799 5.9800
H 0.1570 6.8098 8.5778
H 2.8176 0.5112 4.1883
H 3.1316 4.1716 0.2012
H 5.7922 3.1493 4.5908
O 0.0156 0.7709 0.5194
O 0.0543 7.0193 4.9526
O 0.4656 5.8593 8.2666
O 1.3449 1.1847 6.8042
O 1.4169 4.5835 6.2302
O 1.5577 2.7375 1.8407
O 1.6297 6.1362 2.4147
O 2.5090 1.4616 3.8770
O 2.9204 0.3016 0.5631
O 2.9590 6.5500 4.9089
O 2.9902 2.8895 8.2597
O 3.0289 3.9621 3.8264
O 3.4402 5.1221 0.5125
O 4.3196 2.4758 1.9749
O 4.3915 6.3979 2.5488
O 4.5323 0.9230 6.9384
O 4.6043 4.8452 6.3644
O 5.4836 2.1988 4.9020
O 5.8950 3.3589 8.2159
O 5.9337 4.4314 3.8701

No. 6
13
Lattice="5.2433 0.0000 0.0000 2.2270 4.7490 0.0000 0.4125 0.2461 6.3766" Properties=species:S:1:pos:R:3 comment="LiV4O8 | the Materials Project database | PBE+U | relaxed" polymorph_energy_ev_per_fu=2.00 space_group=P-1 final_energy_ha_per_atom=-0.269 pbc="T T T"
Li 0.0000 0.0000 0.0000
V 1.3156 0.8324 1.8416
V 3.7351 2.3745 0.0000
V 3.9414 2.4975 3.1883
V 6.5671 4.1626 4.5349
O 3.0493 3.5854 4.7502
O 2.0426 1.2982 0.3879
O 2.2634 1.4299 3.1375
O 3.3302 3.7795 1.6243
O 4.5525 1.2155 4.7522
O 5.6193 3.5652 3.2390
O 5.8401 3.6969 5.9887
O 4.8335 1.4096 1.6264

No. 7
99
Lattice="4.7879 0.0000 0.0000 0.0003 15.4296 0.0000 0.0025 6.8107 19.8776" Properties=species:S:1:pos:R:3 comment="MgV28O70 | the Materials Project database | PBE+U | relaxed" polymorph_energy_ev_per_fu=0.31 space_group=P1 final_energy_ha_per_atom=-0.272 pbc="T T T"
Mg 0.0000 0.0000 0.0000
V 0.6681 16.8099 11.5098
V 0.6799 4.5876 12.2565
V 1.0645 12.4319 10.5360
V 1.0681 8.9607 13.2300
V 1.0750 10.3222 6.5281
V 1.0907 7.5866 16.3030
V 1.1086 13.8134 7.4642
V 1.1135 11.0743 17.2650
V 1.1103 17.3499 8.2472
V 1.1383 9.0126 9.9621
V 1.1384 12.3765 13.8098
V 1.1429 5.4502 9.0772
V 1.1397 15.9429 14.6772
V 1.1585 19.4792 15.5331
V 2.1032 8.9891 3.8462
V 2.1114 5.6126 0.0330
V 2.1367 12.5484 4.7563
V 2.1510 4.1804 6.3625
V 2.1507 8.8345 18.9787
V 2.1541 20.7928 18.1825
V 2.1636 17.2121 17.3844
V 2.1639 16.0692 5.5752
V 2.1683 7.6814 7.2813
V 2.1753 13.7156 16.4670
V 2.1764 9.0285 0.5856
V 2.1841 5.5654 3.2994
V 2.4949 13.4562 1.5187
V 2.5086 1.1561 2.2356
O 1.3646 7.1690 18.2912
O 1.3858 13.8036 0.1637
O 1.3928 1.3892 0.8633
O 1.5403 8.5709 5.7679
O 1.5583 12.8560 17.9912
O 1.5607 13.0172 12.1618
O 1.5667 8.3673 11.5979
O 1.5805 10.7397 4.6788
O 1.5849 15.6622 7.4748
O 1.5928 16.9756 9.9512
O 1.5976 10.7511 10.2912
O 1.6005 3.7690 8.2738
O 1.6025 10.6409 13.4710
O 1.6083 10.7063 19.0970
O 1.6064 19.8519 13.8045
O 1.6146 17.6231 15.4581
O 1.6204 4.5381 4.7000
O 1.6256 7.9460 14.6313
O 1.6238 13.4578 9.1319
O 1.6310 5.0358 10.7732
O 1.6287 15.4959 16.6256
O 1.6297 16.8400 19.0518
O 1.6287 16.3502 12.9700
O 1.6339 5.9000 7.1092
O 1.6338 7.3513 0.3592
O 1.6351 12.1002 6.7067
O 1.6511 7.2499 3.5325
O 1.6578 5.7596 16.2818
O 1.6603 13.0711 3.0654
O 1.6683 9.6321 2.2158
O 1.6689 14.1092 14.6191
O 1.6703 7.2826 9.1241
O 1.6767 4.9791 1.6825
O 1.6760 14.2203 5.5532
O 1.6825 2.3232 6.3213
O 1.6864 9.2866 17.0524
O 1.6960 9.4452 8.0416
O 1.6951 16.3456 3.8269
O 1.7035 11.9505 15.7251
O 1.7254 19.0451 17.4204
O 3.4667 15.0636 1.6646
O 3.5117 12.2750 1.1119
O 3.5365 2.3907 2.3406
O 3.7120 8.9971 3.9016
O 3.7226 12.4412 19.8713
O 3.7437 12.5363 4.6947
O 3.7585 4.2180 6.3311
O 3.7638 8.5073 19.2295
O 3.7666 20.9870 18.5524
O 3.7691 7.6243 7.1479
O 3.7709 17.1401 17.4125
O 3.7763 13.7738 16.5982
O 3.7727 16.0704 5.5396
O 3.7896 8.9896 0.5604
O 3.7974 5.5928 3.3379
O 4.2393 12.4030 10.4975
O 4.2424 8.9912 13.2633
O 4.2627 10.3937 6.6620
O 4.2720 7.6238 16.2397
O 4.2820 15.7315 11.2896
O 4.2881 13.7725 7.4849
O 4.2890 17.3550 8.2795
O 4.2967 5.6692 12.4761
O 4.2988 10.9686 17.1581
O 4.3179 9.0123 9.9063
O 4.3184 12.3729 13.8624
O 4.3205 15.9509 14.6211
O 4.3235 5.4488 9.1267
O 4.3363 19.5133 15.5438
O 4.7098 18.4163 11.8819

No. 8
64
Lattice="15.7704 0.0000 0.0000 0.0000 5.2775 0.0000 0.0000 0.0000 8.8309" Properties=species:S:1:pos:R:3 comment="Li4VP2O9 | the Materials Project database | PBE+U | relaxed" polymorph_energy_ev_per_fu=0.00 space_group=Pna2_1 final_energy_ha_per_atom=-0.244 pbc="T T T"
Li 0.8891 1.0477 0.0000
Li 1.5972 4.1538 1.3763
Li 2.3250 3.6433 3.5867
Li 3.1261 1.1416 4.8964
Li 4.7591 3.7803 0.4809
Li 5.5602 1.0046 8.0022
Li 6.2880 1.5150 5.7918
Li 6.9960 3.6865 4.4155
Li 8.7743 1.5910 0.0000
Li 9.4824 3.7625 1.3763
Li 10.2102 4.2730 3.5867
Li 11.0113 1.4972 4.8964
Li 12.6442 4.1360 0.4809
Li 13.4454 1.6342 8.0022
Li 14.1731 1.1237 5.7918
Li 14.8812 4.2298 4.4155
V 1.9394 3.2647 6.8668
V 5.9458 0.6259 2.4513
V 9.8246 4.6516 6.8668
V 13.8309 2.0128 2.4513
P 0.4492 1.0345 3.2032
P 3.5374 1.5722 1.7256
P 4.3478 4.2110 6.1411
P 7.4360 3.6733 7.6187
P 8.3343 1.6042 3.2032
P 11.4226 1.0666 1.7256
P 12.2329 3.7053 6.1411
P 15.3212 4.2430 7.6187
O 0.0896 3.7638 6.2073
O 0.7615 4.8056 3.2132
O 0.9253 4.0064 8.4221
O 1.5466 1.8883 3.8147
O 1.9575 1.6143 6.8838
O 2.4804 0.6521 1.1400
O 2.9680 4.0452 5.3301
O 3.1617 3.0621 1.7206
O 3.7745 3.7479 7.5437
O 4.1107 1.1091 3.1283
O 4.7235 0.4234 6.1361
O 4.9172 1.4064 0.9147
O 5.4047 3.2909 5.5554
O 5.9277 4.2531 2.4684
O 6.3386 4.5271 8.2301
O 6.9599 1.3676 4.0066
O 7.1237 2.1669 7.6286
O 7.7956 1.1250 1.7919
O 7.9748 4.1525 6.2073
O 8.6467 3.1107 3.2132
O 8.8105 3.9099 8.4221
O 9.4318 0.7504 3.8147
O 9.8426 1.0245 6.8838
O 10.3656 1.9867 1.1400
O 10.8532 3.8711 5.3301
O 11.0469 4.8542 1.7206
O 11.6597 4.1684 7.5437
O 11.9959 1.5297 3.1283
O 12.6087 2.2154 6.1361
O 12.8024 1.2323 0.9147
O 13.2899 4.6254 5.5554
O 13.8129 3.6632 2.4684
O 14.2238 3.3892 8.2301
O 14.8451 1.2712 4.0066
O 15.0088 0.4719 7.6286
O 15.6807 1.5138 1.7919

No. 9
16
Lattice="5.4045 0.0000 0.0000 2.5934 4.9176 0.0000 2.3426 0.3845 7.0477" Properties=species:S:1:pos:R:3 comment="MgV5O10 | the Materials Project database | PBE+U | relaxed" polymorph_energy_ev_per_fu=0.50 space_group=P1 final_energy_ha_per_atom=-0.278 pbc="T T T"
Mg 0.0000 0.0000 0.0000
V 4.1486 2.9308 5.5575
V 3.0364 0.5043 4.2396
V 2.9683 0.4227 1.3407
V 4.6076 2.7942 0.0563
V 5.6996 0.3852 2.9527
O 3.7076 4.2543 4.1614
O 2.0700 1.3564 2.8836
O 3.9463 4.3251 1.3258
O 2.7838 1.7088 0.0555
O 5.8376 4.1357 5.6548
O 4.6520 1.4410 4.2571
O 6.4915 4.4233 2.8019
O 4.9119 1.3546 1.4053
O 6.2391 3.8879 0.0151
O 7.9343 1.8767 5.7286

No. 10
56
Lattice="5.7220 0.0000 0.0000 -0.0008 9.0170 0.0000 -0.0025 -0.0026 9.6451" Properties=species:S:1:pos:R:3 comment="FePH6NO5 | the Materials Project database | PBE+U | relaxed" space_group=P1 final_energy_ha_per_atom=-0.216 pbc="T T T"
Fe 0.0000 0.0000 0.0000
Fe 0.0025 0.0184 4.8173
Fe 2.8572 8.6454 2.4042
Fe 2.8640 8.5912 7.2347
P -0.0005 7.0448 7.5603
P 2.8608 1.5848 0.3357
P 2.8759 1.5626 5.1527
P 5.7111 7.0701 2.7487
H -0.0003 4.6980 6.2787
H -0.0009 4.7212 9.3718
H 0.0007 4.7409 4.5439
H 0.0033 4.6951 1.4614
H 0.7824 1.4910 7.5507
H 0.7820 1.5452 2.7079
H 0.8555 3.5214 0.5675
H 0.8538 3.5321 5.3737
H 2.0060 5.0981 2.9707
H 2.0074 5.0986 7.7903
H 2.0753 7.1217 0.3130
H 2.0800 7.0879 5.1359
H 2.8603 3.8878 6.9647
H 2.8616 3.9260 3.8622
H 2.8606 3.9345 8.7001
H 2.8635 3.8993 2.1263
H 3.6402 7.1203 0.3120
H 3.6443 7.0942 5.1045
H 3.7106 5.1052 2.9722
H 3.7127 5.1001 7.7903
H 4.8714 3.5199 0.5683
H 4.8716 3.5292 5.3745
H 4.9337 1.4913 7.5480
H 4.9459 1.5399 2.6909
N 0.0017 4.1079 0.5825
N -0.0002 4.1186 5.3945
N 2.8617 4.5133 2.9853
N 2.8609 4.5124 7.8127
O 5.7185 1.5958 8.1405
O 5.7183 1.6639 3.2968
O 0.0014 7.3666 1.2422
O 0.0061 5.5058 7.8057
O 0.0066 7.3254 6.0575
O 0.0216 5.5287 2.9688
O 1.2186 7.7424 3.4714
O 1.2307 7.7085 8.2871
O 1.6113 0.9505 1.0552
O 1.6638 0.8659 5.8833
O 2.8433 3.0988 5.3951
O 2.8540 1.2854 3.6473
O 2.8602 1.2819 8.4786
O 2.8586 3.1296 0.5591
O 2.8582 7.0176 0.9084
O 2.8734 6.9669 5.7115
O 4.1147 0.9552 1.0518
O 4.1524 0.9403 5.8341
O 4.4456 7.6831 3.4476
O 4.4543 7.6837 8.2555